No. 1
Entry from the Materials Project: a relaxed AlFe3O crystal (PBE with a Hubbard U).

Structure (POSCAR):
```
AlFe3O
1.0
-1.6088 3.6501 1.0052
0.5085 -0.8740 3.9874
3.7517 1.6837 -0.1093
Fe O Al
3 1 1
direct
0.5000 0.0000 0.0000
0.0000 0.0000 0.5000
0.0000 0.5000 0.0000
0.0000 0.0000 0.0000
0.5000 0.5000 0.5000
```

* space group: Pm-3m, No. 221
* magnetization: 10.4 μB per formula unit
* E_tot: -0.1759 Ha/atom
* energy relative to the elements: 2.7 eV/f.u.
* crystal system: cubic
* V: 70 Å³/cell

=====

No. 2
Entry from the Materials Project: a relaxed AlFeO3 crystal (PBE with a Hubbard U).

Structure (POSCAR):
```
AlFeO3
1.0
-4.5181 0.5212 1.7361
-0.3558 -5.0737 0.5975
2.6850 0.6129 6.8035
O Al Fe
12 4 4
direct
0.6900 0.3064 0.4283
0.8617 0.5635 0.7500
0.8100 0.8064 0.0717
0.3100 0.6936 0.5717
0.3617 0.9365 0.2500
0.6383 0.0635 0.7500
0.6900 0.3064 0.0717
0.1900 0.1936 0.9283
0.3100 0.6936 0.9283
0.1900 0.1936 0.5717
0.1383 0.4365 0.2500
0.8100 0.8064 0.4283
0.0000 0.5000 0.5000
0.0000 0.5000 0.0000
0.5000 0.0000 0.0000
0.5000 0.0000 0.5000
0.9763 0.0631 0.2500
0.0237 0.9369 0.7500
0.4763 0.4369 0.7500
0.5237 0.5631 0.2500
```

* space group: Pnma, No. 62
* magnetization: 0.0 μB per formula unit
* E_tot: -0.2585 Ha/atom
* energy relative to the elements: -12.4 eV/f.u.
* crystal system: orthorhombic
* V: 183 Å³/cell

=====

No. 3
Entry from the Materials Project: a relaxed Al5Fe3O12 crystal (PBE with a Hubbard U).

Structure (POSCAR):
```
Al5Fe3O12
1.0
-5.1952 -2.1786 1.2156
-2.5114 -3.6464 -3.6893
5.9725 -10.7254 6.4774
Al O Fe
10 24 6
direct
0.6587 0.6587 0.6574
0.6727 0.6727 0.2950
0.3273 0.3273 0.7050
0.1679 0.1679 0.1641
0.6703 0.6703 0.0470
0.9958 0.9958 0.3796
0.8321 0.8321 0.8359
0.3297 0.3297 0.9530
0.3413 0.3413 0.3426
0.0042 0.0042 0.6204
0.1729 0.1729 0.4159
0.4948 0.4948 0.2555
0.3478 0.8467 0.5885
0.0260 0.4812 0.2497
0.8271 0.8271 0.5841
0.9740 0.5188 0.7503
0.0099 0.0099 0.2462
0.8458 0.3413 0.0941
0.1542 0.6587 0.9059
0.6522 0.1533 0.4115
0.1533 0.6522 0.4115
0.3297 0.3297 0.0845
0.1644 0.1644 0.9099
0.8356 0.8356 0.0901
0.4812 0.0260 0.2497
0.3413 0.8458 0.0941
0.3221 0.3221 0.5780
0.6779 0.6779 0.4220
0.5188 0.9740 0.7503
0.5052 0.5052 0.7445
0.9901 0.9901 0.7538
0.6587 0.1542 0.9059
0.8467 0.3478 0.5885
0.6703 0.6703 0.9155
0.0000 0.5000 0.5000
0.1685 0.6765 0.1612
0.8315 0.3235 0.8388
0.6765 0.1685 0.1612
0.5000 0.0000 0.5000
0.3235 0.8315 0.8388
```

* space group: C2/m, No. 12
* magnetization: 15.0 μB per formula unit
* E_tot: -0.2612 Ha/atom
* energy relative to the elements: -53.6 eV/f.u.
* crystal system: monoclinic
* V: 400 Å³/cell
* energy above the most stable polymorph in this dataset: 0.037 eV per atom